Record 1
{"formula": "TbGe3", "functional": "GGA-PBE", "state": "relaxed", "formation_energy_mev_per_atom": -462, "lattice_angstrom": [[2.021, -10.542, 0.000], [2.021, 10.542, 0.000], [0.000, 0.000, 3.939]], "species": ["Tb", "Tb", "Ge", "Ge", "Ge", "Ge", "Ge", "Ge"], "frac_coords": [[0.083, 0.917, 0.750], [0.917, 0.083, 0.250], [0.191, 0.809, 0.250], [0.310, 0.690, 0.250], [0.461, 0.539, 0.750], [0.539, 0.461, 0.250], [0.690, 0.310, 0.750], [0.809, 0.191, 0.750]]}

---

Record 2
{"formula": "CaZrO3", "functional": "GGA-PBE", "state": "relaxed", "formation_energy_mev_per_atom": -3645, "lattice_angstrom": [[5.832, 0.000, 0.000], [0.000, 11.457, 0.000], [0.000, 0.000, 8.124]], "species": ["Ca", "Ca", "Ca", "Ca", "Ca", "Ca", "Ca", "Ca", "Zr", "Zr", "Zr", "Zr", "Zr", "Zr", "Zr", "Zr", "O", "O", "O", "O", "O", "O", "O", "O", "O", "O", "O", "O", "O", "O", "O", "O", "O", "O", "O", "O", "O", "O", "O", "O"], "frac_coords": [[0.236, 0.112, 0.000], [0.249, 0.138, 0.500], [0.251, 0.638, 0.500], [0.264, 0.612, 0.000], [0.736, 0.388, 0.000], [0.749, 0.362, 0.500], [0.751, 0.862, 0.500], [0.764, 0.888, 0.000], [0.247, 0.375, 0.750], [0.250, 0.375, 0.250], [0.250, 0.875, 0.250], [0.253, 0.875, 0.750], [0.747, 0.125, 0.750], [0.750, 0.125, 0.250], [0.750, 0.625, 0.250], [0.753, 0.625, 0.750], [0.000, 0.000, 0.183], [0.000, 0.000, 0.811], [0.000, 0.500, 0.183], [0.000, 0.500, 0.818], [0.001, 0.750, 0.682], [0.012, 0.245, 0.314], [0.232, 0.816, 0.999], [0.250, 0.434, 0.499], [0.250, 0.934, 0.499], [0.268, 0.316, 0.999], [0.488, 0.745, 0.314], [0.499, 0.250, 0.682], [0.500, 0.000, 0.183], [0.500, 0.000, 0.818], [0.500, 0.500, 0.183], [0.500, 0.500, 0.811], [0.501, 0.750, 0.682], [0.512, 0.255, 0.314], [0.732, 0.684, 0.999], [0.750, 0.066, 0.499], [0.750, 0.566, 0.499], [0.768, 0.184, 0.999], [0.988, 0.755, 0.314], [0.999, 0.250, 0.682]]}

---

Record 3
{"formula": "Na2LiSbF6", "functional": "GGA-PBE", "state": "relaxed", "formation_energy_mev_per_atom": -2756, "lattice_angstrom": [[0.000, 4.203, 4.203], [4.203, 0.000, 4.203], [4.203, 4.203, 0.000]], "species": ["Na", "Na", "Li", "Sb", "F", "F", "F", "F", "F", "F"], "frac_coords": [[0.250, 0.250, 0.250], [0.750, 0.750, 0.750], [0.000, 0.000, 0.000], [0.500, 0.500, 0.500], [0.241, 0.241, 0.759], [0.241, 0.759, 0.241], [0.241, 0.759, 0.759], [0.759, 0.241, 0.241], [0.759, 0.241, 0.759], [0.759, 0.759, 0.241]]}

---

Computed values of final energy (unit: eV/atom) for the preceding records, in sequence: -5.088 -8.312 -4.496.